(1)
BaMo6O10 | Materials Project | PBE with a Hubbard U | relaxed; E = -480.14 eV for the cell shown; ΔE to the lowest computed polymorph = 0.00 eV/f.u.; energy of formation from the pure elements = -1743.8 meV/atom; V = 13.59 A^3/atom
1.0
-8.8000 2.3802 0.6764
-1.6081 -7.1461 6.2278
2.2963 6.4226 7.9991
Ba Mo O
4 24 40
Cartesian
-0.1886 6.2756 7.4779
-7.9748 -4.6274 7.4592
-6.0763 1.9697 8.5059
-1.9738 -0.3189 6.4057
-4.9537 -0.2248 11.6230
-0.3564 1.1983 3.0582
-2.4215 3.3703 8.9115
-8.5055 -0.9130 6.2667
-3.1549 1.9053 3.2920
-7.7776 0.4893 11.7485
-5.7069 -1.6953 5.9909
0.4004 2.5361 8.6516
-3.0918 -4.2490 7.3237
-5.0365 5.9268 7.6081
-6.5077 0.9739 5.1049
-1.6135 0.6850 9.8089
-4.2210 3.9479 5.6156
-1.2101 -3.1201 9.1069
-2.4313 2.5757 11.8531
-8.4282 -0.1506 3.2328
-3.9012 -2.2832 9.2989
-6.9605 4.6877 5.8184
-5.6768 -0.9003 3.0318
0.2697 1.8337 11.6237
-1.1299 3.2154 5.2411
-6.9842 -1.5455 9.6726
-5.3792 3.5254 12.0611
-2.7402 -1.8613 2.8636
-3.1891 6.8373 7.3388
-2.1462 -6.0242 7.2989
-2.8514 1.3589 8.5032
-8.0383 0.9702 6.5087
-4.8830 -5.1730 7.5622
-5.9384 7.6194 7.5933
-5.2446 0.2898 6.3885
-0.0921 0.6698 8.3682
-2.1288 -1.2640 9.1357
-5.9871 2.8418 5.8552
-4.7591 6.2724 9.6415
-3.2756 -4.5369 5.1955
-4.1736 3.8148 3.4503
-0.8440 -2.9410 11.2510
-4.2388 -1.7804 4.4169
-6.9636 4.3002 10.8134
-5.0836 1.0564 3.5407
-3.9698 -2.1200 11.4528
-3.8904 3.4451 10.4969
-1.1765 -2.6949 4.1111
-0.8788 3.4204 7.3693
-7.2113 -1.7471 7.5621
-5.9133 1.5469 11.4626
-2.1269 0.1504 3.4541
-2.9535 0.5887 11.3920
-7.8887 1.7721 3.7621
-4.0067 4.0969 7.6767
-1.3576 -3.1930 7.0084
1.0475 4.4274 9.3485
-6.2519 -3.6452 5.3601
-8.0847 0.2036 9.6671
-2.9932 2.2398 5.3518
-9.1713 -2.7651 5.5587
-1.8432 5.3164 9.5341
-0.1019 1.3884 5.1446
-5.1373 -0.5369 9.5444
-6.7828 4.8133 7.9092
-4.1539 -2.3966 7.2698
-0.1062 -0.0755 11.1318
-7.2794 4.5582 3.6224

---

(2)
Ba3Mo18O28 | Materials Project | PBE with a Hubbard U | relaxed; E = -680.42 eV for the cell shown; energy of formation from the pure elements = -1582.9 meV/atom; V = 15.29 A^3/atom
1.0
9.7830 0.0000 0.0000
0.0000 10.6024 0.0000
0.0000 2.6175 14.4456
Ba Mo O
6 36 56
Cartesian
0.1823 4.9666 9.2165
4.7287 10.2604 9.7003
4.8774 7.9767 0.7666
5.0738 8.2532 5.2291
9.6202 2.9595 4.7453
9.7689 5.2431 13.6789
1.2835 11.5772 14.4118
1.2269 11.6017 7.9588
1.2945 11.5476 11.1708
1.3196 8.9747 3.1710
1.2730 8.7093 9.6035
1.3970 8.8355 6.3939
1.3977 8.7544 12.8184
1.4048 6.0751 1.6213
1.4051 6.1586 4.8420
3.4458 11.4589 4.8652
3.4867 0.8393 1.6328
3.5351 3.4125 12.8048
3.4875 3.5471 6.3816
3.6085 3.4188 9.5926
3.5726 3.6749 3.2099
3.5777 6.2492 11.1937
3.6615 6.3501 7.9594
3.6147 6.2479 14.3808
6.1750 1.6426 0.0338
6.1184 1.6182 6.4868
6.1860 1.6723 3.2748
6.2111 4.2452 11.2746
6.1645 4.5105 4.8421
6.2885 4.3843 8.0517
6.2892 4.4655 1.6272
6.2963 7.1448 12.8243
6.2966 7.0612 9.6036
8.3373 1.7610 9.5804
8.3782 12.3806 12.8128
8.4267 9.8074 1.6408
8.3790 9.6728 8.0640
8.5000 9.8010 4.8530
8.4641 9.5449 11.2357
8.4692 6.9706 3.2519
8.5530 6.8697 6.4861
8.5062 6.9720 0.0648
0.1656 5.4059 3.2488
0.1355 7.9918 11.2341
0.0013 7.9957 7.8889
0.0933 5.4469 6.3906
0.2097 5.4105 0.0561
2.5162 1.8050 3.3222
2.2873 9.8103 8.0304
2.5112 4.3917 11.1264
2.4751 9.6126 1.5596
2.3697 12.2807 12.7849
2.2693 1.7857 6.2911
2.5200 9.6121 4.7876
2.3758 12.2822 9.4726
2.3969 7.1014 0.0398
2.5036 4.4352 14.4270
2.5007 6.9771 9.4904
2.3528 4.3000 4.7835
2.6746 7.1539 6.2976
2.4023 6.8958 12.8065
2.5610 4.4688 1.5562
2.3798 9.6991 11.1164
2.6063 4.5088 8.0078
2.3719 7.0805 3.1262
4.7105 0.0931 0.0376
4.7799 10.7675 6.2696
4.7719 2.6789 11.1844
4.8745 2.6918 7.8634
4.6796 10.7561 3.3566
5.0571 7.8140 11.1968
4.8929 5.2242 6.5567
5.0270 5.2280 3.2114
4.9848 7.7729 8.0550
5.1012 7.8094 14.3895
7.4077 11.4149 11.1234
7.1788 3.4095 6.4152
7.4027 8.8281 3.3192
7.2613 0.9392 1.6607
7.1608 11.4341 8.1544
7.3666 3.6073 12.8860
7.4116 3.6078 9.6580
7.2673 0.9377 4.9730
7.2884 6.1185 14.4058
7.3951 8.7847 0.0186
7.3922 6.2427 4.9552
7.2443 8.9199 9.6621
7.5662 6.0660 8.1479
7.2938 6.3241 1.6391
7.4525 8.7510 12.8894
7.2713 3.5208 3.3292
7.4978 8.7111 6.4378
7.2634 6.1394 11.3194
9.6020 13.1267 14.4080
9.6714 2.4524 8.1760
9.7660 10.5281 6.5822
9.6634 10.5410 3.2611
9.5712 2.4638 11.0889

---

(3)
BaMo6O10 | Materials Project | PBE with a Hubbard U | relaxed; E = -477.30 eV for the cell shown; ΔE to the lowest computed polymorph = 0.71 eV/f.u.; energy of formation from the pure elements = -1702.1 meV/atom; V = 13.80 A^3/atom
1.0
9.0930 0.0000 0.0000
0.0000 9.6154 0.0000
0.0000 0.0000 10.7315
Ba Mo O
4 24 40
Cartesian
2.2733 0.1367 9.7679
6.8198 9.4788 0.9636
6.8198 4.9444 6.3293
2.2733 4.6711 4.4022
5.4380 8.5513 7.5970
0.8915 1.0641 3.1344
3.6550 3.7436 8.5002
8.2015 5.8718 2.2313
3.6550 1.0641 3.1344
8.2015 8.5513 7.5970
5.4380 5.8718 2.2313
0.8915 3.7436 8.5002
2.2733 8.2473 2.3296
6.8198 1.3681 8.4019
6.8198 3.4396 3.0362
2.2733 6.1758 7.6953
5.3848 1.3528 5.8903
0.8383 8.2626 4.8412
3.7082 6.1605 10.2069
8.2547 3.4549 0.5245
3.7082 8.2626 4.8412
8.2547 1.3528 5.8903
5.3848 3.4549 0.5245
0.8383 6.1605 10.2069
2.2733 1.2652 6.0030
6.8198 8.3503 4.7285
6.8198 6.0729 10.0942
2.2733 3.5425 0.6373
5.4140 0.0913 9.1941
0.8675 9.5241 1.5374
3.6790 4.8990 6.9031
8.2256 4.7164 3.8284
3.6790 9.5241 1.5374
8.2256 0.0913 9.1941
5.4140 4.7164 3.8284
0.8675 4.8990 6.9031
2.2733 7.0760 5.7383
6.8198 2.5394 4.9931
6.8198 2.2683 10.3589
2.2733 7.3471 0.3726
5.1943 0.0312 4.0982
0.6478 9.5842 6.6332
3.8987 4.8389 1.2675
8.4452 4.7765 9.4640
5.3181 2.2354 2.2767
3.8987 9.5842 6.6332
5.1943 4.7765 9.4640
0.6478 4.8389 1.2675
2.2733 2.4375 7.7739
6.8198 7.1780 2.9576
6.8198 7.2452 8.3233
2.2733 2.3702 2.4081
3.7749 7.3800 8.4547
8.3214 2.2354 2.2767
5.3181 2.5723 7.6425
0.7716 7.0431 3.0890
0.7836 2.5546 10.2713
5.3301 7.0608 0.4602
8.3094 7.3623 5.8259
3.7629 2.2531 4.9056
8.3094 7.0608 0.4602
3.7629 2.5546 10.2713
0.7836 2.2531 4.9056
5.3301 7.3623 5.8259
8.3214 2.5723 7.6425
3.7749 7.0431 3.0890
0.7716 7.3800 8.4547
8.4452 0.0312 4.0982

---

(4)
BaMo3O10 | Materials Project | PBE with a Hubbard U | relaxed; E = -394.32 eV for the cell shown; ΔE to the lowest computed polymorph = 0.03 eV/f.u.; energy of formation from the pure elements = -2222.8 meV/atom; V = 14.68 A^3/atom
1.0
-7.6712 -12.3049 4.0407
1.2097 -3.0435 -6.9716
6.7045 -1.8415 1.9672
Ba Mo O
4 12 40
Cartesian
-6.0842 -12.4604 2.2656
6.3245 -4.7229 -3.2143
0.7514 -6.4365 2.9007
-1.1021 -9.2599 -0.4434
-1.3513 -6.6898 -3.6786
1.5891 -10.4872 2.7444
2.4667 -11.5677 -0.7932
-2.2554 -5.5424 0.0122
1.7953 -2.6407 1.3862
-2.1350 -13.0833 1.0079
-3.0347 -11.9601 4.5174
2.7232 -3.8348 -2.2857
-4.2625 -12.8881 -1.4809
4.5012 -4.2911 0.5417
2.6619 -6.9066 -0.8164
-3.0129 -8.7889 3.2758
2.2928 -11.0608 1.0182
-1.4584 -7.6173 -5.3910
4.5077 -7.8100 -0.0594
-3.6611 -10.8987 -4.3835
-2.9840 -8.5359 -3.1657
3.2246 -8.6480 2.2156
0.4825 -9.2413 2.1485
-0.2844 -7.8356 -2.8533
0.5732 -11.8413 3.1143
-0.3226 -5.3678 -4.1222
-3.2699 -9.3615 1.4727
3.4899 -7.7706 -2.3040
1.0418 -10.8868 -1.5677
-0.7652 -6.3878 0.4099
-2.6372 -11.1373 -2.0896
2.9118 -6.1322 0.9434
1.4814 -13.3598 -0.2208
-1.2591 -3.7781 -0.6241
-2.8826 -12.4581 2.7118
3.1537 -4.8026 -3.8379
-2.3855 -13.8734 -0.7807
2.6400 -3.3455 -0.2496
-4.3185 -13.1347 4.9056
3.9791 -2.5900 -2.5131
-1.0153 -14.2736 1.6798
0.6876 -1.4804 0.6454
-1.1292 -11.7252 0.6222
0.7802 -3.9754 1.8254
-3.9986 -12.3435 0.3165
3.6717 -3.4127 2.0037
1.2565 -2.9608 -2.6970
-0.4222 -15.7168 -1.6746
4.2313 -5.0653 -1.2172
-3.4098 -13.5801 -3.0809
1.7184 -5.5817 -1.6372
-2.0470 -10.1702 3.9676
-5.4733 -14.1087 -1.2521
5.7387 -3.1377 0.1589
-0.6237 -10.5847 -3.9557
1.4595 -8.0969 -0.4252